[1]
Material: Li7BiO6
Method: DFT, PBE
State: relaxed

Cell and atoms, written as POSCAR:
```
Li7BiO6
1.0
5.371 -2.856 0.000
5.371 2.856 0.000
3.852 0.000 4.708
O Li Bi
6 7 1
direct
0.367 0.758 0.123 O
0.123 0.367 0.758 O
0.611 0.203 0.924 O
0.924 0.611 0.203 O
0.758 0.123 0.367 O
0.203 0.924 0.611 O
0.502 0.879 0.269 Li
0.066 0.772 0.509 Li
0.509 0.066 0.772 Li
0.269 0.502 0.879 Li
0.350 0.350 0.350 Li
0.879 0.269 0.502 Li
0.772 0.509 0.066 Li
0.998 0.998 0.998 Bi
```

Calculated values
ΔH_f (0 K): -1.97 eV per atom
E: -5.03 eV per atom



[2]
Material: NdSm3Sb3
Method: DFT, PBE
State: relaxed

Cell and atoms, written as POSCAR:
```
NdSm3Sb3
1.0
-2.329 4.954 7.680
-8.576 -3.924 -0.070
3.159 -7.001 5.474
Sb Sm Nd
12 12 4
direct
0.251 0.124 0.500 Sb
0.500 0.251 0.124 Sb
0.751 0.376 0.500 Sb
0.749 0.624 0.000 Sb
0.124 0.500 0.251 Sb
0.249 0.876 0.000 Sb
0.876 0.000 0.249 Sb
0.500 0.751 0.376 Sb
0.624 0.000 0.749 Sb
0.000 0.749 0.624 Sb
0.000 0.249 0.876 Sb
0.376 0.500 0.751 Sb
0.071 0.429 0.571 Sm
0.679 0.679 0.679 Sm
0.821 0.679 0.321 Sm
0.821 0.321 0.179 Sm
0.679 0.321 0.821 Sm
0.429 0.571 0.071 Sm
0.571 0.071 0.429 Sm
0.321 0.821 0.679 Sm
0.321 0.179 0.821 Sm
0.929 0.929 0.929 Sm
0.179 0.179 0.179 Sm
0.179 0.821 0.321 Sm
0.571 0.929 0.071 Nd
0.071 0.571 0.929 Nd
0.929 0.071 0.571 Nd
0.429 0.429 0.429 Nd
```

Calculated values
ΔH_f (0 K): -1.13 eV per atom
E: -5.52 eV per atom



[3]
Material: HoGe4Rh6
Method: DFT, PBE
State: relaxed

Cell and atoms, written as POSCAR:
```
HoGe4Rh6
1.0
0.509 1.163 -7.115
-3.929 -5.534 2.485
-3.099 2.268 0.149
Rh Ge Ho
6 4 1
direct
0.603 0.802 0.500 Rh
0.198 0.802 0.500 Rh
0.534 0.067 0.000 Rh
0.198 0.397 0.500 Rh
0.933 0.466 0.000 Rh
0.534 0.466 0.000 Rh
0.393 0.196 0.500 Ge
0.333 0.667 0.000 Ge
0.804 0.607 0.500 Ge
0.804 0.196 0.500 Ge
0.000 0.000 0.000 Ho
```

Calculated values
ΔH_f (0 K): -0.74 eV per atom
E: -6.85 eV per atom



[4]
Material: K2UCu3S5
Method: DFT, PBE
State: relaxed

Cell and atoms, written as POSCAR:
```
K2UCu3S5
1.0
1.972 -6.997 0.000
1.972 6.997 0.000
0.000 0.000 17.619
S K Cu U
10 4 6 2
direct
0.854 0.146 0.750 S
0.875 0.125 0.530 S
0.125 0.875 0.470 S
0.448 0.552 0.142 S
0.146 0.854 0.250 S
0.552 0.448 0.642 S
0.875 0.125 0.970 S
0.125 0.875 0.030 S
0.448 0.552 0.358 S
0.552 0.448 0.858 S
0.764 0.236 0.134 K
0.764 0.236 0.366 K
0.236 0.764 0.866 K
0.236 0.764 0.634 K
0.553 0.447 0.250 Cu
0.956 0.044 0.856 Cu
0.044 0.956 0.356 Cu
0.447 0.553 0.750 Cu
0.044 0.956 0.144 Cu
0.956 0.044 0.644 Cu
0.500 0.500 0.500 U
0.500 0.500 0.000 U
```

Calculated values
ΔH_f (0 K): -1.18 eV per atom
E: -5.18 eV per atom



[5]
Material: NaMg2H3S2O8
Method: DFT, PBE
State: relaxed

Cell and atoms, written as POSCAR:
```
NaMg2H3S2O8
1.0
5.982 -0.019 -2.243
-3.763 6.880 -1.075
-0.023 0.025 9.007
O H S Mg Na
16 6 4 4 2
direct
0.871 0.204 0.171 O
0.211 0.752 0.279 O
0.498 0.197 0.167 O
0.181 0.247 0.722 O
0.285 0.145 0.426 O
0.789 0.248 0.721 O
0.029 0.136 0.923 O
0.385 0.484 0.285 O
0.819 0.753 0.278 O
0.129 0.796 0.829 O
0.728 0.085 0.372 O
0.971 0.864 0.077 O
0.615 0.516 0.715 O
0.272 0.915 0.628 O
0.502 0.803 0.833 O
0.715 0.855 0.574 O
0.613 0.718 0.504 H
0.709 0.440 0.726 H
0.541 0.560 0.272 H
0.291 0.560 0.274 H
0.387 0.282 0.496 H
0.459 0.440 0.728 H
0.934 0.704 0.162 S
0.771 0.254 0.292 S
0.229 0.746 0.708 S
0.066 0.296 0.838 S
0.180 0.173 0.187 Mg
0.000 0.000 0.500 Mg
0.500 0.000 0.500 Mg
0.820 0.827 0.813 Mg
0.541 0.169 0.906 Na
0.459 0.831 0.094 Na
```

Calculated values
ΔH_f (0 K): -2.03 eV per atom
E: -5.60 eV per atom



[6]
Material: K2SeS3O7
Method: DFT, PBE
State: relaxed

Cell and atoms, written as POSCAR:
```
K2SeS3O7
1.0
-7.115 17.041 -5.597
-4.953 -2.486 -1.274
-3.186 1.606 8.941
O S K Se
28 12 8 4
direct
0.744 0.431 0.591 O
0.262 0.997 0.932 O
0.515 0.410 0.338 O
0.738 0.003 0.068 O
0.706 0.203 0.284 O
0.294 0.797 0.716 O
0.507 0.846 0.320 O
0.385 0.158 0.254 O
0.115 0.158 0.754 O
0.756 0.431 0.091 O
0.885 0.656 0.893 O
0.115 0.344 0.107 O
0.206 0.797 0.216 O
0.885 0.842 0.246 O
0.615 0.656 0.393 O
0.993 0.846 0.820 O
0.985 0.410 0.838 O
0.244 0.569 0.909 O
0.485 0.590 0.662 O
0.007 0.154 0.180 O
0.762 0.003 0.568 O
0.015 0.590 0.162 O
0.794 0.203 0.784 O
0.493 0.154 0.680 O
0.238 0.997 0.432 O
0.385 0.344 0.607 O
0.256 0.569 0.409 O
0.615 0.842 0.746 O
0.050 0.367 0.185 S
0.284 0.777 0.868 S
0.216 0.777 0.368 S
0.580 0.640 0.092 S
0.450 0.367 0.685 S
0.950 0.633 0.815 S
0.420 0.360 0.908 S
0.920 0.640 0.592 S
0.080 0.360 0.408 S
0.784 0.223 0.632 S
0.550 0.633 0.315 S
0.716 0.223 0.132 S
0.893 0.143 0.001 K
0.246 0.298 0.656 K
0.393 0.857 0.499 K
0.254 0.298 0.156 K
0.607 0.143 0.501 K
0.746 0.702 0.844 K
0.754 0.702 0.344 K
0.107 0.857 0.999 K
0.397 0.722 0.961 Se
0.603 0.278 0.039 Se
0.103 0.722 0.461 Se
0.897 0.278 0.539 Se
```

Calculated values
ΔH_f (0 K): -1.40 eV per atom
E: -5.09 eV per atom



> Which of these has the lowest ΔH_f (0 K)?

NaMg2H3S2O8



> Which value of ΔH_f (0 K) does entry 6 give?

-1.40 eV per atom



Copy entry 6 word for word.
Material: K2SeS3O7
Method: DFT, PBE
State: relaxed

Cell and atoms, written as POSCAR:
```
K2SeS3O7
1.0
-7.115 17.041 -5.597
-4.953 -2.486 -1.274
-3.186 1.606 8.941
O S K Se
28 12 8 4
direct
0.744 0.431 0.591 O
0.262 0.997 0.932 O
0.515 0.410 0.338 O
0.738 0.003 0.068 O
0.706 0.203 0.284 O
0.294 0.797 0.716 O
0.507 0.846 0.320 O
0.385 0.158 0.254 O
0.115 0.158 0.754 O
0.756 0.431 0.091 O
0.885 0.656 0.893 O
0.115 0.344 0.107 O
0.206 0.797 0.216 O
0.885 0.842 0.246 O
0.615 0.656 0.393 O
0.993 0.846 0.820 O
0.985 0.410 0.838 O
0.244 0.569 0.909 O
0.485 0.590 0.662 O
0.007 0.154 0.180 O
0.762 0.003 0.568 O
0.015 0.590 0.162 O
0.794 0.203 0.784 O
0.493 0.154 0.680 O
0.238 0.997 0.432 O
0.385 0.344 0.607 O
0.256 0.569 0.409 O
0.615 0.842 0.746 O
0.050 0.367 0.185 S
0.284 0.777 0.868 S
0.216 0.777 0.368 S
0.580 0.640 0.092 S
0.450 0.367 0.685 S
0.950 0.633 0.815 S
0.420 0.360 0.908 S
0.920 0.640 0.592 S
0.080 0.360 0.408 S
0.784 0.223 0.632 S
0.550 0.633 0.315 S
0.716 0.223 0.132 S
0.893 0.143 0.001 K
0.246 0.298 0.656 K
0.393 0.857 0.499 K
0.254 0.298 0.156 K
0.607 0.143 0.501 K
0.746 0.702 0.844 K
0.754 0.702 0.344 K
0.107 0.857 0.999 K
0.397 0.722 0.961 Se
0.603 0.278 0.039 Se
0.103 0.722 0.461 Se
0.897 0.278 0.539 Se
```

Calculated values
ΔH_f (0 K): -1.40 eV per atom
E: -5.09 eV per atom